Material: Ge
Method: DFT, GGA-PBE
State: optimized geometry

Structure (CIF):
```
data_Ge
_chemical_formula_sum 'Ge16'
_cell_length_a 8.8664
_cell_length_b 6.0152
_cell_length_c 5.8820
_cell_angle_alpha 90.00
_cell_angle_beta 90.00
_cell_angle_gamma 90.00
_symmetry_space_group_name_H-M 'C m c e'
_symmetry_Int_Tables_number 64
_symmetry_space_group_name_Hall '-C 2ac 2'
loop_
_atom_site_label
_atom_site_fract_x
_atom_site_fract_y
_atom_site_fract_z
Ge1 0.0000 0.1688 0.1709
Ge2 0.2180 0.0000 0.5000
```

Results
- E above lowest polymorph (kcal/mol of atoms) = 7.24
- E (eV per formula unit) = -4.3
- ΔE_f (eV per atom) = 0.31

=====

Material: RhS
Method: DFT, GGA-PBE
State: optimized geometry

Structure (CIF):
```
data_RhS
_chemical_formula_sum 'Rh2 S2'
_cell_length_a 3.6400
_cell_length_b 3.6400
_cell_length_c 6.4340
_cell_angle_alpha 90.00
_cell_angle_beta 90.00
_cell_angle_gamma 120.00
_symmetry_space_group_name_H-M 'P 63 m c'
_symmetry_Int_Tables_number 186
_symmetry_space_group_name_Hall 'P 6c -2c'
loop_
_atom_site_label
_atom_site_fract_x
_atom_site_fract_y
_atom_site_fract_z
Rh1 0.3333 0.6667 0.0000
S1 0.3333 0.6667 0.3633
```

Results
- E (eV per formula unit) = -11.9
- ΔE_f (eV per atom) = -0.46

=====

Material: Lu6Al43W4
Method: DFT, GGA-PBE
State: optimized geometry

Structure (CIF):
```
data_Lu6Al43W4
_chemical_formula_sum 'Lu12 Al86 W8'
_cell_length_a 11.0332
_cell_length_b 11.0332
_cell_length_c 17.5128
_cell_angle_alpha 90.00
_cell_angle_beta 90.00
_cell_angle_gamma 120.00
_symmetry_space_group_name_H-M 'P 63/m c m'
_symmetry_Int_Tables_number 193
_symmetry_space_group_name_Hall '-P 6c 2'
loop_
_atom_site_label
_atom_site_fract_x
_atom_site_fract_y
_atom_site_fract_z
Lu1 0.0000 0.4684 0.0954
Al1 0.0000 0.1479 0.7500
Al2 0.0000 0.1600 0.1143
Al3 0.0000 0.2552 0.5304
Al4 0.1469 0.5514 0.2500
Al5 0.1580 0.3950 0.6632
Al6 0.2468 0.4936 0.0000
Al7 0.3333 0.6667 0.1259
W1 0.0000 0.0000 0.0000
W2 0.0000 0.2715 0.2500
```

Results
- E (eV per formula unit) = -253.6
- ΔE_f (eV per atom) = -0.26

=====

Material: Ca2SiO4
Method: DFT, GGA-PBE
State: optimized geometry

Structure (CIF):
```
data_Ca2SiO4
_chemical_formula_sum 'Ca8 Si4 O16'
_cell_length_a 5.5757
_cell_length_b 6.8156
_cell_length_c 10.5229
_cell_angle_alpha 90.00
_cell_angle_beta 117.31
_cell_angle_gamma 90.00
_symmetry_space_group_name_H-M 'P 1 21/c 1'
_symmetry_Int_Tables_number 14
_symmetry_space_group_name_Hall '-P 2ybc'
loop_
_atom_site_label
_atom_site_fract_x
_atom_site_fract_y
_atom_site_fract_z
Ca1 0.0188 0.0033 0.2975
Ca2 0.2955 0.6589 0.5690
Si1 0.3497 0.2190 0.5815
O1 0.1492 0.1679 0.1362
O2 0.2749 0.5126 0.0559
O3 0.2788 0.1693 0.9277
O4 0.3283 0.7487 0.8044
```

Results
- E above lowest polymorph (kcal/mol of atoms) = 0.81
- E (eV per formula unit) = -50.6
- ΔE_f (eV per atom) = -3.44

=====

Material: SrPuO3
Method: DFT, GGA-PBE
State: optimized geometry

Structure (CIF):
```
data_SrPuO3
_chemical_formula_sum 'Sr1 Pu1 O3'
_cell_length_a 4.3631
_cell_length_b 4.3631
_cell_length_c 4.3631
_cell_angle_alpha 90.00
_cell_angle_beta 90.00
_cell_angle_gamma 90.00
_symmetry_space_group_name_H-M 'P m -3 m'
_symmetry_Int_Tables_number 221
_symmetry_space_group_name_Hall '-P 4 2 3'
loop_
_atom_site_label
_atom_site_fract_x
_atom_site_fract_y
_atom_site_fract_z
Sr1 0.0000 0.0000 0.0000
Pu1 0.5000 0.5000 0.5000
O1 0.0000 0.5000 0.5000
```

Results
- E (eV per formula unit) = -45.4
- ΔE_f (eV per atom) = -3.33

=====

Material: CaBi2B2O7
Method: DFT, GGA-PBE
State: optimized geometry

Structure (CIF):
```
data_CaBi2B2O7
_chemical_formula_sum 'Ca4 Bi8 B8 O28'
_cell_length_a 8.9837
_cell_length_b 12.7652
_cell_length_c 5.5629
_cell_angle_alpha 90.00
_cell_angle_beta 90.00
_cell_angle_gamma 90.00
_symmetry_space_group_name_H-M 'P n m a'
_symmetry_Int_Tables_number 62
_symmetry_space_group_name_Hall '-P 2ac 2n'
loop_
_atom_site_label
_atom_site_fract_x
_atom_site_fract_y
_atom_site_fract_z
Ca1 0.1743 0.2500 0.0539
Bi1 0.1676 0.5916 0.0664
B1 0.0238 0.1201 0.5150
O1 0.1018 0.1108 0.3042
O2 0.1075 0.1213 0.7299
O3 0.1274 0.7500 0.9641
O4 0.1286 0.6246 0.4630
```

Results
- E (eV per formula unit) = -83.1
- ΔE_f (eV per atom) = -2.51

=====

Total magnetic moment (μB per formula unit)
0.00; 0.00; 0.11; 0.00; 4.00; 0.00